{"formula": "CuTePb3CO10", "functional": "PBE", "state": "relaxed", "lattice": [[10.493, 0.000, 0.000], [0.000, 9.524, 0.000], [0.000, 0.000, 9.574]], "species": ["Cu", "Cu", "Cu", "Cu", "Te", "Te", "Te", "Te", "Pb", "Pb", "Pb", "Pb", "Pb", "Pb", "Pb", "Pb", "Pb", "Pb", "Pb", "Pb", "C", "C", "C", "C", "O", "O", "O", "O", "O", "O", "O", "O", "O", "O", "O", "O", "O", "O", "O", "O", "O", "O", "O", "O", "O", "O", "O", "O", "O", "O", "O", "O", "O", "O", "O", "O", "O", "O", "O", "O", "O", "O", "O", "O"], "fractional_positions": [[0.118, 0.060, 0.000], [0.382, 0.060, 0.500], [0.618, 0.940, 0.000], [0.882, 0.940, 0.500], [0.114, 0.037, 0.354], [0.386, 0.037, 0.854], [0.614, 0.963, 0.354], [0.886, 0.963, 0.854], [0.083, 0.256, 0.658], [0.130, 0.468, 0.046], [0.198, 0.786, 0.689], [0.302, 0.786, 0.189], [0.370, 0.468, 0.546], [0.417, 0.256, 0.158], [0.583, 0.744, 0.658], [0.630, 0.532, 0.046], [0.698, 0.214, 0.689], [0.802, 0.214, 0.189], [0.870, 0.532, 0.546], [0.917, 0.744, 0.158], [0.127, 0.526, 0.387], [0.373, 0.526, 0.887], [0.627, 0.474, 0.387], [0.873, 0.474, 0.887], [0.018, 0.529, 0.325], [0.022, 0.197, 0.287], [0.034, 0.030, 0.544], [0.036, 0.092, 0.832], [0.120, 0.701, 0.093], [0.129, 0.522, 0.525], [0.196, 0.013, 0.169], [0.220, 0.877, 0.400], [0.235, 0.524, 0.321], [0.240, 0.165, 0.439], [0.260, 0.165, 0.939], [0.265, 0.524, 0.821], [0.280, 0.877, 0.900], [0.304, 0.013, 0.669], [0.371, 0.522, 0.025], [0.380, 0.701, 0.593], [0.464, 0.092, 0.332], [0.466, 0.030, 0.044], [0.478, 0.197, 0.787], [0.482, 0.529, 0.825], [0.518, 0.471, 0.325], [0.522, 0.803, 0.287], [0.534, 0.970, 0.544], [0.536, 0.908, 0.832], [0.620, 0.299, 0.093], [0.629, 0.478, 0.525], [0.696, 0.987, 0.169], [0.720, 0.123, 0.400], [0.735, 0.476, 0.321], [0.740, 0.835, 0.439], [0.760, 0.835, 0.939], [0.765, 0.476, 0.821], [0.780, 0.123, 0.900], [0.804, 0.987, 0.669], [0.871, 0.478, 0.025], [0.880, 0.299, 0.593], [0.964, 0.908, 0.332], [0.966, 0.970, 0.044], [0.978, 0.803, 0.787], [0.982, 0.471, 0.825]], "ef_mev_per_atom": -1435, "magnetic_moment_mub_per_atom": 0.064}